[1]
# Pr5Sn3Au | the Materials Project database | meta-GGA r2SCAN | optimized geometry
# Energy of formation ... -0.8542 eV per atom
# Total DFT energy (no corrections) ... -559.062 eV per cell
data_Pr5Sn3Au
_cell_length_a 9.5774
_cell_length_b 9.5774
_cell_length_c 6.9174
_cell_angle_alpha 90.00
_cell_angle_beta 90.00
_cell_angle_gamma 120.00
_space_group_name_H-M_alt 'P 63/m c m'
_space_group_IT_number 193
_space_group_name_Hall '-P 6c 2'
loop_
_atom_site_label
_atom_site_fract_x
_atom_site_fract_y
_atom_site_fract_z
Pr1 0.0000 0.2682 0.2500
Pr2 0.3333 0.6667 0.0000
Sn1 0.0000 0.3843 0.7500
Au1 0.0000 0.0000 0.0000

***

[2]
# Sr2PtAu | the Materials Project database | meta-GGA r2SCAN | optimized geometry
# Energy of formation ... -0.8582 eV per atom
# Total DFT energy (no corrections) ... -271.594 eV per cell
data_Sr2PtAu
_cell_length_a 4.619
_cell_length_b 4.265
_cell_length_c 11.335
_cell_angle_alpha 90.00
_cell_angle_beta 90.00
_cell_angle_gamma 90.00
_space_group_name_H-M_alt 'A m m 2'
_space_group_IT_number 38
loop_
_space_group_symop_operation_xyz
'x,y,z'
'-x,-y,z'
'-x,y,z'
'x,-y,z'
'x,y+1/2,z+1/2'
'-x,-y+1/2,z+1/2'
'-x,y+1/2,z+1/2'
'x,-y+1/2,z+1/2'
loop_
_atom_site_label
_atom_site_fract_x
_atom_site_fract_y
_atom_site_fract_z
Sr1 0.000 0.000 0.000
Sr2 0.500 0.000 0.279
Pt1 0.000 0.000 0.715
Au1 0.500 0.000 0.566

***

[3]
# UPt4Au | the Materials Project database | meta-GGA r2SCAN | optimized geometry
# Energy of formation ... -0.7098 eV per atom
# Total DFT energy (no corrections) ... -681.473 eV per cell
data_UPt4Au
_cell_length_a 5.322
_cell_length_b 5.322
_cell_length_c 7.578
_cell_angle_alpha 90.00
_cell_angle_beta 90.00
_cell_angle_gamma 90.00
_space_group_name_H-M_alt 'I -4 m 2'
_space_group_IT_number 119
_space_group_name_Hall 'I -4 -2'
loop_
_atom_site_label
_atom_site_fract_x
_atom_site_fract_y
_atom_site_fract_z
U1 0.000 0.000 0.000
Pt1 0.000 0.249 0.376
Au1 0.000 0.500 0.750

***

[4]
# Yb2PtAu | the Materials Project database | meta-GGA r2SCAN | optimized geometry
# Energy of formation ... -1.1990 eV per atom
# Total DFT energy (no corrections) ... -719.709 eV per cell
data_Yb2PtAu
_cell_length_a 6.912
_cell_length_b 6.912
_cell_length_c 6.912
_cell_angle_alpha 90.00
_cell_angle_beta 90.00
_cell_angle_gamma 90.00
_space_group_name_H-M_alt 'F m -3 m'
_space_group_IT_number 225
_space_group_name_Hall '-F 4 2 3'
loop_
_atom_site_label
_atom_site_fract_x
_atom_site_fract_y
_atom_site_fract_z
Yb1 0.250 0.250 0.250
Pt1 0.000 0.000 0.000
Au1 0.000 0.000 0.500